Here is a relaxed structure of Mo3C8Se13N2 from the Materials Project database. Energies are from PBE.

Summary:
As for the size of the total moment: 2.0 μB per cell. For the calculated formation energy, the calculation gives 0.686 eV per atom.

Structure (CIF):
```
data_Mo3C8Se13N2
_chemical_formula_sum 'Mo3 C8 Se13 N2'
_cell_length_a 11.028
_cell_length_b 11.028
_cell_length_c 6.706
_cell_angle_alpha 86.45
_cell_angle_beta 86.45
_cell_angle_gamma 121.51
_space_group_name_H-M_alt 'P 1'
_space_group_IT_number 1
_space_group_name_Hall 'P 1'
loop_
_atom_site_label
_atom_site_fract_x
_atom_site_fract_y
_atom_site_fract_z
Se1 0.005 0.376 0.399
Se2 0.000 0.820 0.287
Se3 0.336 0.996 0.736
Se4 0.615 0.615 0.798
C1 0.690 0.465 0.872
C2 0.735 0.364 0.865
C3 0.609 0.357 0.041
Se5 0.277 0.277 0.551
C4 0.364 0.735 0.865
Se6 0.191 0.191 0.252
Se7 0.820 0.000 0.287
N1 0.720 0.324 0.087
Mo1 0.142 0.998 0.535
Mo2 0.998 0.142 0.535
Se8 0.996 0.336 0.736
Se9 0.716 0.988 0.606
C5 0.357 0.609 0.041
Se10 0.376 0.005 0.399
Se11 0.985 0.985 0.837
N2 0.324 0.720 0.087
C6 0.224 0.604 0.969
C7 0.604 0.224 0.969
Se12 0.620 0.620 0.451
Se13 0.988 0.716 0.606
Mo3 0.843 0.843 0.562
C8 0.465 0.690 0.872
```